[1]
Material: Cr2CoSe4
Method: DFT, PBE-GGA
State: optimized geometry

Structure (CIF):
```
data_Cr2CoSe4
_chemical_formula_sum 'Cr2 Co1 Se4'
_cell_length_a 5.100
_cell_length_b 6.444
_cell_length_c 6.897
_cell_angle_alpha 136.67
_cell_angle_beta 116.37
_cell_angle_gamma 69.11
_symmetry_space_group_name_H-M 'P 1'
_symmetry_Int_Tables_number 1
_symmetry_space_group_name_Hall 'P 1'
loop_
_atom_site_label
_atom_site_fract_x
_atom_site_fract_y
_atom_site_fract_z
_atom_site_occupancy
Cr1 0.641 0.612 0.377 1
Cr2 0.359 0.388 0.623 1
Co1 0.000 0.000 0.000 1
Se1 0.514 0.131 0.824 1
Se2 0.869 0.503 0.699 1
Se3 0.131 0.497 0.301 1
Se4 0.486 0.869 0.176 1
```

* distance to the lowest polymorph of the same formula: 0.203 eV per atom
* total moment: 6.026 Bohr magnetons per cell
* total DFT energy (no corrections): -0.440 Ry/atom
* E_form: -0.4843 eV/atom

[2]
Material: CrN2
Method: DFT, PBE-GGA
State: optimized geometry

Structure (CIF):
```
data_CrN2
_chemical_formula_sum 'Cr4 N8'
_cell_length_a 4.759
_cell_length_b 4.759
_cell_length_c 4.759
_cell_angle_alpha 90.00
_cell_angle_beta 90.00
_cell_angle_gamma 90.00
_symmetry_space_group_name_H-M 'P 1'
_symmetry_Int_Tables_number 1
_symmetry_space_group_name_Hall 'P 1'
loop_
_atom_site_label
_atom_site_fract_x
_atom_site_fract_y
_atom_site_fract_z
_atom_site_occupancy
Cr1 0.500 0.500 0.000 1
Cr2 0.500 0.000 0.500 1
Cr3 0.000 0.500 0.500 1
Cr4 0.000 0.000 0.000 1
N1 0.082 0.918 0.418 1
N2 0.918 0.418 0.082 1
N3 0.418 0.082 0.918 1
N4 0.582 0.582 0.582 1
N5 0.918 0.082 0.582 1
N6 0.082 0.582 0.918 1
N7 0.582 0.918 0.082 1
N8 0.418 0.418 0.418 1
```

* total moment: 8.659 Bohr magnetons per cell
* total DFT energy (no corrections): -0.639 Ry/atom
* E_form: -0.1643 eV/atom

[3]
Material: Ti8Bi9
Method: DFT, PBE-GGA
State: optimized geometry

Structure (CIF):
```
data_Ti8Bi9
_chemical_formula_sum 'Ti16 Bi18'
_cell_length_a 10.320
_cell_length_b 10.320
_cell_length_c 7.482
_cell_angle_alpha 90.00
_cell_angle_beta 90.00
_cell_angle_gamma 90.00
_symmetry_space_group_name_H-M 'P 1'
_symmetry_Int_Tables_number 1
_symmetry_space_group_name_Hall 'P 1'
loop_
_atom_site_label
_atom_site_fract_x
_atom_site_fract_y
_atom_site_fract_z
_atom_site_occupancy
Ti1 0.500 0.000 0.422 1
Ti2 0.858 0.000 0.852 1
Ti3 0.000 0.500 0.080 1
Ti4 0.000 0.142 0.148 1
Ti5 0.000 0.858 0.148 1
Ti6 0.642 0.500 0.148 1
Ti7 0.500 0.000 0.920 1
Ti8 0.142 0.000 0.852 1
Ti9 0.358 0.500 0.148 1
Ti10 0.250 0.750 0.000 1
Ti11 0.500 0.358 0.852 1
Ti12 0.000 0.500 0.578 1
Ti13 0.750 0.250 0.000 1
Ti14 0.500 0.642 0.852 1
Ti15 0.750 0.750 0.000 1
Ti16 0.250 0.250 0.000 1
Bi1 0.665 0.165 0.653 1
Bi2 0.500 0.237 0.192 1
Bi3 0.000 0.000 0.500 1
Bi4 0.165 0.665 0.347 1
Bi5 0.237 0.500 0.808 1
Bi6 0.665 0.835 0.653 1
Bi7 0.000 0.263 0.808 1
Bi8 0.737 0.000 0.192 1
Bi9 0.500 0.763 0.192 1
Bi10 0.263 0.000 0.192 1
Bi11 0.335 0.835 0.653 1
Bi12 0.763 0.500 0.808 1
Bi13 0.500 0.500 0.500 1
Bi14 0.000 0.737 0.808 1
Bi15 0.165 0.335 0.347 1
Bi16 0.835 0.335 0.347 1
Bi17 0.335 0.165 0.653 1
Bi18 0.835 0.665 0.347 1
```

* total DFT energy (no corrections): -0.438 Ry/atom
* E_form: -0.1814 eV/atom

[4]
Material: Ho3Si3O10F
Method: DFT, PBE-GGA
State: optimized geometry

Structure (CIF):
```
data_Ho3Si3O10F
_chemical_formula_sum 'Ho12 Si12 O40 F4'
_cell_length_a 11.226
_cell_length_b 7.366
_cell_length_c 11.986
_cell_angle_alpha 59.74
_cell_angle_beta 90.00
_cell_angle_gamma 90.00
_symmetry_space_group_name_H-M 'P 1'
_symmetry_Int_Tables_number 1
_symmetry_space_group_name_Hall 'P 1'
loop_
_atom_site_label
_atom_site_fract_x
_atom_site_fract_y
_atom_site_fract_z
_atom_site_occupancy
Ho1 0.469 0.744 0.018 1
Ho2 0.969 0.256 0.482 1
Ho3 0.531 0.256 0.982 1
Ho4 0.031 0.744 0.518 1
Ho5 0.229 0.596 0.311 1
Ho6 0.729 0.404 0.189 1
Ho7 0.771 0.404 0.689 1
Ho8 0.271 0.596 0.811 1
Ho9 0.098 0.806 0.997 1
Ho10 0.598 0.194 0.503 1
Ho11 0.902 0.194 0.003 1
Ho12 0.402 0.806 0.497 1
Si1 0.463 0.286 0.708 1
Si2 0.756 0.876 0.890 1
Si3 0.744 0.876 0.390 1
Si4 0.244 0.124 0.110 1
Si5 0.414 0.285 0.241 1
Si6 0.914 0.715 0.259 1
Si7 0.586 0.715 0.759 1
Si8 0.086 0.285 0.741 1
Si9 0.037 0.286 0.208 1
Si10 0.537 0.714 0.292 1
Si11 0.256 0.124 0.610 1
Si12 0.963 0.714 0.792 1
O1 0.091 0.658 0.870 1
O2 0.591 0.342 0.630 1
O3 0.909 0.342 0.130 1
O4 0.409 0.658 0.370 1
O5 0.478 0.104 0.862 1
O6 0.978 0.896 0.638 1
O7 0.522 0.896 0.138 1
O8 0.022 0.104 0.362 1
O9 0.104 0.496 0.191 1
O10 0.604 0.504 0.309 1
O11 0.896 0.504 0.809 1
O12 0.396 0.496 0.691 1
O13 0.392 0.199 0.621 1
O14 0.892 0.801 0.879 1
O15 0.608 0.801 0.379 1
O16 0.108 0.199 0.121 1
O17 0.357 0.514 0.197 1
O18 0.274 0.896 0.621 1
O19 0.726 0.104 0.379 1
O20 0.226 0.896 0.121 1
O21 0.181 0.288 0.481 1
O22 0.681 0.712 0.019 1
O23 0.819 0.712 0.519 1
O24 0.319 0.288 0.981 1
O25 0.178 0.116 0.731 1
O26 0.678 0.884 0.769 1
O27 0.822 0.884 0.269 1
O28 0.322 0.116 0.231 1
O29 0.025 0.649 0.363 1
O30 0.525 0.351 0.137 1
O31 0.975 0.351 0.637 1
O32 0.475 0.649 0.863 1
O33 0.050 0.148 0.892 1
O34 0.550 0.852 0.608 1
O35 0.950 0.852 0.108 1
O36 0.450 0.148 0.392 1
O37 0.143 0.514 0.697 1
O38 0.643 0.486 0.803 1
O39 0.857 0.486 0.303 1
O40 0.774 0.104 0.879 1
F1 0.714 0.244 0.059 1
F2 0.214 0.756 0.441 1
F3 0.786 0.244 0.559 1
F4 0.286 0.756 0.941 1
```

* total moment: 0.004 Bohr magnetons per cell
* total DFT energy (no corrections): -0.594 Ry/atom
* E_form: -3.7250 eV/atom

[5]
Material: CeAg3
Method: DFT, PBE-GGA
State: optimized geometry

Structure (CIF):
```
data_CeAg3
_chemical_formula_sum 'Ce2 Ag6'
_cell_length_a 6.560
_cell_length_b 6.560
_cell_length_c 4.898
_cell_angle_alpha 90.00
_cell_angle_beta 90.00
_cell_angle_gamma 120.00
_symmetry_space_group_name_H-M 'P 1'
_symmetry_Int_Tables_number 1
_symmetry_space_group_name_Hall 'P 1'
loop_
_atom_site_label
_atom_site_fract_x
_atom_site_fract_y
_atom_site_fract_z
_atom_site_occupancy
Ce1 0.333 0.667 0.750 1
Ce2 0.667 0.333 0.250 1
Ag1 0.151 0.301 0.250 1
Ag2 0.699 0.849 0.250 1
Ag3 0.151 0.849 0.250 1
Ag4 0.849 0.699 0.750 1
Ag5 0.301 0.151 0.750 1
Ag6 0.849 0.151 0.750 1
```

* total DFT energy (no corrections): -0.271 Ry/atom
* E_form: -0.0781 eV/atom

[6]
Material: Mg14BiMo
Method: DFT, PBE-GGA
State: optimized geometry

Structure (CIF):
```
data_Mg14BiMo
_chemical_formula_sum 'Mg14 Bi1 Mo1'
_cell_length_a 6.339
_cell_length_b 6.345
_cell_length_c 10.254
_cell_angle_alpha 90.00
_cell_angle_beta 90.00
_cell_angle_gamma 120.03
_symmetry_space_group_name_H-M 'P 1'
_symmetry_Int_Tables_number 1
_symmetry_space_group_name_Hall 'P 1'
loop_
_atom_site_label
_atom_site_fract_x
_atom_site_fract_y
_atom_site_fract_z
_atom_site_occupancy
Mg1 0.166 0.333 0.625 1
Mg2 0.168 0.834 0.625 1
Mg3 0.668 0.333 0.125 1
Mg4 0.667 0.332 0.625 1
Mg5 0.668 0.834 0.125 1
Mg6 0.667 0.834 0.625 1
Mg7 0.332 0.174 0.373 1
Mg8 0.332 0.174 0.877 1
Mg9 0.332 0.658 0.373 1
Mg10 0.332 0.658 0.877 1
Mg11 0.841 0.171 0.370 1
Mg12 0.841 0.171 0.880 1
Mg13 0.830 0.665 0.380 1
Mg14 0.830 0.665 0.870 1
Bi1 0.161 0.830 0.125 1
Mo1 0.168 0.334 0.125 1
```

* distance to the lowest polymorph of the same formula: 0.019 eV per atom
* total moment: 2.402 Bohr magnetons per cell
* total DFT energy (no corrections): -0.164 Ry/atom
* E_form: 0.0947 eV/atom

[7]
Material: Sn2Bi2O7
Method: DFT, PBE-GGA
State: optimized geometry

Structure (CIF):
```
data_Sn2Bi2O7
_chemical_formula_sum 'Sn24 Bi24 O84'
_cell_length_a 7.650
_cell_length_b 7.650
_cell_length_c 37.488
_cell_angle_alpha 90.00
_cell_angle_beta 90.00
_cell_angle_gamma 120.00
_symmetry_space_group_name_H-M 'P 1'
_symmetry_Int_Tables_number 1
_symmetry_space_group_name_Hall 'P 1'
loop_
_atom_site_label
_atom_site_fract_x
_atom_site_fract_y
_atom_site_fract_z
_atom_site_occupancy
Sn1 0.999 0.835 0.346 1
Sn2 0.165 0.164 0.680 1
Sn3 0.836 0.001 0.013 1
Sn4 0.503 0.836 0.345 1
Sn5 0.164 0.667 0.679 1
Sn6 0.333 0.497 0.012 1
Sn7 0.500 0.331 0.346 1
Sn8 0.669 0.169 0.679 1
Sn9 0.831 0.500 0.012 1
Sn10 0.334 0.000 0.262 1
Sn11 0.000 0.333 0.596 1
Sn12 0.667 0.666 0.929 1
Sn13 0.003 0.834 0.847 1
Sn14 0.166 0.169 0.180 1
Sn15 0.831 0.997 0.513 1
Sn16 0.499 0.834 0.845 1
Sn17 0.166 0.665 0.178 1
Sn18 0.335 0.501 0.512 1
Sn19 0.500 0.336 0.846 1
Sn20 0.664 0.164 0.180 1
Sn21 0.836 0.500 0.513 1
Sn22 0.331 0.000 0.762 1
Sn23 0.000 0.332 0.096 1
Sn24 0.668 0.669 0.429 1
Bi1 0.020 0.373 0.346 1
Bi2 0.627 0.647 0.680 1
Bi3 0.353 0.980 0.013 1
Bi4 0.872 0.999 0.265 1
Bi5 0.001 0.873 0.598 1
Bi6 0.127 0.128 0.932 1
Bi7 0.330 0.539 0.260 1
Bi8 0.461 0.791 0.593 1
Bi9 0.209 0.670 0.926 1
Bi10 0.791 0.460 0.264 1
Bi11 0.540 0.331 0.598 1
Bi12 0.669 0.209 0.931 1
Bi13 0.967 0.298 0.846 1
Bi14 0.702 0.668 0.180 1
Bi15 0.332 0.033 0.513 1
Bi16 0.798 0.008 0.759 1
Bi17 0.992 0.790 0.092 1
Bi18 0.210 0.202 0.425 1
Bi19 0.339 0.466 0.768 1
Bi20 0.534 0.873 0.101 1
Bi21 0.127 0.661 0.434 1
Bi22 0.876 0.544 0.763 1
Bi23 0.456 0.332 0.096 1
Bi24 0.668 0.124 0.429 1
O1 0.009 0.345 0.284 1
O2 0.655 0.664 0.618 1
O3 0.336 0.991 0.951 1
O4 0.004 0.341 0.410 1
O5 0.659 0.662 0.743 1
O6 0.338 0.996 0.077 1
O7 0.990 0.328 0.784 1
O8 0.672 0.662 0.118 1
O9 0.338 0.010 0.451 1
O10 0.997 0.324 0.910 1
O11 0.676 0.673 0.243 1
O12 0.327 0.003 0.577 1
O13 0.387 0.526 0.334 1
O14 0.474 0.862 0.667 1
O15 0.138 0.613 0.001 1
O16 0.799 0.929 0.330 1
O17 0.071 0.870 0.664 1
O18 0.130 0.201 0.997 1
O19 0.806 0.528 0.332 1
O20 0.472 0.277 0.665 1
O21 0.723 0.194 0.999 1
O22 0.483 0.269 0.291 1
O23 0.731 0.213 0.625 1
O24 0.787 0.517 0.958 1
O25 0.454 0.850 0.290 1
O26 0.150 0.604 0.624 1
O27 0.396 0.546 0.957 1
O28 0.067 0.883 0.292 1
O29 0.117 0.184 0.625 1
O30 0.816 0.933 0.958 1
O31 0.214 0.734 0.233 1
O32 0.266 0.480 0.566 1
O33 0.520 0.786 0.900 1
O34 0.186 0.125 0.235 1
O35 0.875 0.062 0.568 1
O36 0.938 0.814 0.901 1
O37 0.604 0.151 0.234 1
O38 0.849 0.454 0.568 1
O39 0.546 0.396 0.901 1
O40 0.938 0.788 0.401 1
O41 0.212 0.149 0.734 1
O42 0.851 0.062 0.067 1
O43 0.548 0.817 0.400 1
O44 0.183 0.731 0.733 1
O45 0.269 0.452 0.067 1
O46 0.523 0.399 0.400 1
O47 0.601 0.124 0.734 1
O48 0.876 0.477 0.067 1
O49 0.405 0.538 0.830 1
O50 0.462 0.868 0.163 1
O51 0.132 0.595 0.497 1
O52 0.809 0.949 0.835 1
O53 0.051 0.860 0.168 1
O54 0.140 0.191 0.501 1
O55 0.803 0.532 0.833 1
O56 0.468 0.271 0.166 1
O57 0.729 0.197 0.500 1
O58 0.450 0.267 0.792 1
O59 0.733 0.184 0.125 1
O60 0.816 0.550 0.458 1
O61 0.484 0.882 0.790 1
O62 0.118 0.603 0.124 1
O63 0.397 0.516 0.457 1
O64 0.065 0.849 0.792 1
O65 0.151 0.217 0.125 1
O66 0.783 0.935 0.458 1
O67 0.531 0.396 0.026 1
O68 0.604 0.135 0.359 1
O69 0.865 0.469 0.693 1
O70 0.860 0.058 0.192 1
O71 0.942 0.802 0.526 1
O72 0.198 0.140 0.859 1
O73 0.263 0.467 0.194 1
O74 0.533 0.796 0.527 1
O75 0.204 0.737 0.861 1
O76 0.933 0.800 0.028 1
O77 0.200 0.133 0.361 1
O78 0.867 0.067 0.695 1
O79 0.859 0.473 0.191 1
O80 0.527 0.387 0.525 1
O81 0.613 0.141 0.858 1
O82 0.527 0.807 0.023 1
O83 0.193 0.721 0.357 1
O84 0.279 0.473 0.690 1
```

* distance to the lowest polymorph of the same formula: 0.000 eV per atom
* total moment: 0.003 Bohr magnetons per cell
* total DFT energy (no corrections): -0.447 Ry/atom
* E_form: -1.9365 eV/atom

[8]
Material: Mg3H2O4
Method: DFT, PBE-GGA
State: optimized geometry

Structure (CIF):
```
data_Mg3H2O4
_chemical_formula_sum 'Mg6 H4 O8'
_cell_length_a 3.073
_cell_length_b 3.073
_cell_length_c 19.778
_cell_angle_alpha 90.00
_cell_angle_beta 90.00
_cell_angle_gamma 120.00
_symmetry_space_group_name_H-M 'P 1'
_symmetry_Int_Tables_number 1
_symmetry_space_group_name_Hall 'P 1'
loop_
_atom_site_label
_atom_site_fract_x
_atom_site_fract_y
_atom_site_fract_z
_atom_site_occupancy
Mg1 0.667 0.333 0.250 1
Mg2 0.333 0.667 0.374 1
Mg3 0.667 0.333 0.626 1
Mg4 0.333 0.667 0.750 1
Mg5 0.000 0.000 0.874 1
Mg6 0.000 0.000 0.126 1
H1 0.333 0.667 0.977 1
H2 0.667 0.333 0.023 1
H3 0.667 0.333 0.476 1
H4 0.333 0.667 0.524 1
O1 0.333 0.667 0.928 1
O2 0.000 0.000 0.688 1
O3 0.667 0.333 0.427 1
O4 0.333 0.667 0.573 1
O5 0.667 0.333 0.072 1
O6 0.333 0.667 0.188 1
O7 0.000 0.000 0.312 1
O8 0.667 0.333 0.812 1
```

* total DFT energy (no corrections): -0.414 Ry/atom
* E_form: -2.4562 eV/atom